1.
The following is a DFT calculation (PBE) of crystalline LiCa3OsO6 at its relaxed geometry.

density: 5.02 g/cm³
uncorrected energy: -6.72 eV/atom
DFT formation energy: -256.0 kJ per mole of atoms
SG: R-3c, No. 167

extended XYZ file:
```
22
Lattice="4.670 2.696 3.619 -4.670 2.696 3.619 0.000 -5.392 3.619" Properties=species:S:1:pos:R:3 pbc="T T T"
Li 0.000 0.000 2.714
Li 0.000 0.000 8.143
Ca -3.017 0.166 4.524
Ca -1.653 -2.530 6.334
Ca 1.364 -2.696 4.524
Ca -1.364 2.696 6.334
Ca 1.653 2.530 4.524
Ca 3.017 -0.166 6.334
Os 0.000 0.000 0.000
Os 0.000 0.000 5.429
O -4.070 -1.201 6.082
O -0.995 -4.125 4.775
O -0.995 -1.267 4.273
O -3.075 2.925 4.776
O -0.600 1.496 4.273
O -1.595 0.228 6.585
O 1.595 -0.228 4.273
O 0.600 -1.496 6.585
O 3.075 -2.925 6.082
O 0.995 1.267 6.585
O 0.995 4.125 6.082
O 4.070 1.201 4.775
```

2.
The following is a DFT calculation (PBE) of crystalline LiCaPrTeO6 at its relaxed geometry.

density: 5.39 g/cm³
uncorrected energy: -6.47 eV/atom
DFT formation energy: -263.0 kJ per mole of atoms
piezoelectric modulus e_max: 0.54 C/m2
SG: Pc, No. 7

extended XYZ file:
```
20
Lattice="5.567 0.000 0.000 0.000 5.845 0.000 -5.476 0.000 7.791" Properties=species:S:1:pos:R:3 pbc="T T T"
Li 0.000 1.286 0.000
Li -2.738 4.559 3.896
Ca 2.865 1.131 1.907
Ca 0.127 4.713 5.802
Pr -2.794 1.862 5.799
Pr -0.056 3.983 1.904
Te 0.049 1.403 3.868
Te -2.689 4.442 7.763
O -1.551 2.470 3.516
O -4.288 3.375 7.412
O -3.661 0.244 7.380
O -0.923 5.601 3.484
O 0.553 1.620 1.998
O -2.185 4.225 5.894
O -0.466 1.222 5.741
O 2.272 4.623 1.846
O 3.775 2.787 0.388
O 1.037 3.058 4.284
O 1.661 0.379 4.235
O 4.399 5.466 0.340
```

Which value of density does entry 2 give?
5.39 g/cm³